{
  "formula": "K2LiBP2O8",
  "functional": "meta-GGA r2SCAN",
  "state": "relaxed",
  "cell": [[8.3237, 0.0000, 0.0000], [0.0000, 8.7986, 0.0000], [-7.4486, 0.0000, 9.8021]],
  "species": ["K", "K", "K", "K", "K", "K", "K", "K", "Li", "Li", "Li", "Li", "B", "B", "B", "B", "P", "P", "P", "P", "P", "P", "P", "P", "O", "O", "O", "O", "O", "O", "O", "O", "O", "O", "O", "O", "O", "O", "O", "O", "O", "O", "O", "O", "O", "O", "O", "O", "O", "O", "O", "O", "O", "O", "O", "O"],
  "frac_coords": [[0.0624, 0.2231, 0.0884], [0.0624, 0.2769, 0.5884], [0.2746, 0.7250, 0.3215], [0.2746, 0.7750, 0.8215], [0.7254, 0.2250, 0.1785], [0.7254, 0.2750, 0.6785], [0.9376, 0.7231, 0.4116], [0.9376, 0.7769, 0.9116], [0.1903, 0.0828, 0.8799], [0.1903, 0.4172, 0.3799], [0.8097, 0.5828, 0.6201], [0.8097, 0.9172, 0.1201], [0.4661, 0.5866, 0.1253], [0.4661, 0.9134, 0.6253], [0.5339, 0.0866, 0.3747], [0.5339, 0.4134, 0.8747], [0.2072, 0.0774, 0.3917], [0.2072, 0.4226, 0.8917], [0.4700, 0.6053, 0.6703], [0.4700, 0.8947, 0.1703], [0.5300, 0.1053, 0.8297], [0.5300, 0.3947, 0.3297], [0.7928, 0.5774, 0.1083], [0.7928, 0.9226, 0.6083], [0.0647, 0.0068, 0.2533], [0.0647, 0.4932, 0.7533], [0.1272, 0.2184, 0.4131], [0.1272, 0.2816, 0.9131], [0.2619, 0.5484, 0.0009], [0.2619, 0.9516, 0.5009], [0.2944, 0.5574, 0.5287], [0.2944, 0.9426, 0.0287], [0.3246, 0.0710, 0.7912], [0.3246, 0.4290, 0.2912], [0.4097, 0.1256, 0.4188], [0.4097, 0.3744, 0.9188], [0.4437, 0.5390, 0.7774], [0.4437, 0.9610, 0.2774], [0.4494, 0.7196, 0.1902], [0.4494, 0.7804, 0.6902], [0.5506, 0.2196, 0.3098], [0.5506, 0.2804, 0.8098], [0.5563, 0.0390, 0.7226], [0.5563, 0.4610, 0.2226], [0.5903, 0.6256, 0.0812], [0.5903, 0.8744, 0.5812], [0.6754, 0.5710, 0.7088], [0.6754, 0.9290, 0.2088], [0.7056, 0.0574, 0.9713], [0.7056, 0.4426, 0.4713], [0.7381, 0.0484, 0.4991], [0.7381, 0.4516, 0.9991], [0.8728, 0.7184, 0.0869], [0.8728, 0.7816, 0.5869], [0.9353, 0.5068, 0.2467], [0.9353, 0.9932, 0.7467]],
  "magnetic_moment_mub_per_fu": 0.000,
  "dft_energy_ev_per_atom": -8.814
}

---

{
  "formula": "KNa2BO3",
  "functional": "meta-GGA r2SCAN",
  "state": "relaxed",
  "cell": [[5.5733, 0.0000, 0.0000], [0.0000, 5.9662, 0.0000], [0.0000, 0.0000, 5.5379]],
  "species": ["K", "K", "Na", "Na", "Na", "Na", "B", "B", "O", "O", "O", "O", "O", "O"],
  "frac_coords": [[0.2500, 0.2500, 0.0791], [0.7500, 0.7500, 0.9209], [0.2500, 0.5205, 0.6250], [0.2500, 0.9795, 0.6250], [0.7500, 0.0205, 0.3750], [0.7500, 0.4795, 0.3750], [0.2500, 0.7500, 0.2041], [0.7500, 0.2500, 0.7959], [0.0367, 0.7500, 0.3359], [0.2500, 0.7500, 0.9550], [0.4633, 0.7500, 0.3359], [0.5367, 0.2500, 0.6641], [0.7500, 0.2500, 0.0450], [0.9633, 0.2500, 0.6641]],
  "magnetic_moment_mub_per_fu": 0.000,
  "dft_energy_ev_per_atom": -7.655
}